# 1
{
  "formula": "LuSnIr",
  "functional": "PBE-GGA",
  "state": "relaxed",
  "lattice_angstrom": [[4.247, 5.637, -2.639], [-5.926, 1.492, 4.408], [2.217, -0.237, 3.060]],
  "species": ["Ir", "Ir", "Ir", "Lu", "Lu", "Lu", "Sn", "Sn", "Sn"],
  "frac_coords": [[0.333, 0.667, 0.000], [0.000, 0.000, 0.500], [0.667, 0.333, 0.000], [0.000, 0.402, 0.500], [0.402, 0.000, 0.500], [0.598, 0.598, 0.500], [0.000, 0.735, 0.000], [0.265, 0.265, 0.000], [0.735, 0.000, 0.000]],
  "formation_energy_ev_per_fu": -2.6,
  "crystal_system": "hexagonal"
}


# 2
{
  "formula": "LiZnInF6",
  "functional": "PBE-GGA",
  "state": "relaxed",
  "lattice_angstrom": [[4.550, -7.881, 0.000], [4.550, 7.881, 0.000], [0.000, 0.000, 4.694]],
  "species": ["Li", "Li", "Li", "F", "F", "F", "F", "F", "F", "F", "F", "F", "F", "F", "F", "F", "F", "F", "F", "F", "F", "Zn", "Zn", "Zn", "In", "In", "In"],
  "frac_coords": [[0.000, 0.694, 0.500], [0.306, 0.306, 0.500], [0.694, 0.000, 0.500], [0.213, 0.441, 0.736], [0.895, 0.124, 0.767], [0.771, 0.876, 0.233], [0.566, 0.107, 0.746], [0.893, 0.459, 0.746], [0.772, 0.559, 0.264], [0.441, 0.213, 0.264], [0.541, 0.434, 0.746], [0.228, 0.787, 0.736], [0.559, 0.772, 0.736], [0.124, 0.895, 0.233], [0.459, 0.893, 0.254], [0.787, 0.228, 0.264], [0.876, 0.771, 0.767], [0.229, 0.105, 0.767], [0.107, 0.566, 0.254], [0.434, 0.541, 0.254], [0.105, 0.229, 0.233], [0.000, 0.355, 0.000], [0.355, 0.000, 0.000], [0.645, 0.645, 0.000], [0.333, 0.667, 0.495], [0.667, 0.333, 0.505], [0.000, 0.000, 0.000]],
  "formation_energy_ev_per_fu": -25.4,
  "crystal_system": "trigonal"
}


# 3
{
  "formula": "Y8Cu3Si3S21",
  "functional": "PBE-GGA",
  "state": "relaxed",
  "lattice_angstrom": [[17.298, 0.000, 0.000], [0.000, 9.818, 0.000], [0.000, 4.905, 8.567]],
  "species": ["S", "S", "S", "S", "S", "S", "S", "S", "S", "S", "S", "S", "S", "S", "S", "S", "S", "S", "S", "S", "S", "S", "S", "S", "S", "S", "S", "S", "S", "S", "S", "S", "S", "S", "S", "S", "S", "S", "S", "S", "S", "S", "Cu", "Cu", "Cu", "Cu", "Cu", "Cu", "Y", "Y", "Y", "Y", "Y", "Y", "Y", "Y", "Y", "Y", "Y", "Y", "Y", "Y", "Y", "Y", "Si", "Si", "Si", "Si", "Si", "Si"],
  "frac_coords": [[0.259, 0.091, 0.169], [0.417, 0.255, 0.913], [0.513, 0.673, 0.662], [0.675, 0.892, 0.522], [0.260, 0.162, 0.743], [0.013, 0.327, 0.338], [0.593, 0.160, 0.740], [0.594, 0.751, 0.090], [0.175, 0.108, 0.478], [0.842, 0.412, 0.110], [0.837, 0.105, 0.480], [0.928, 0.165, 0.742], [0.508, 0.480, 0.417], [0.428, 0.835, 0.258], [0.178, 0.665, 0.666], [0.091, 0.914, 0.827], [0.674, 0.587, 0.894], [0.510, 0.414, 0.107], [0.010, 0.586, 0.893], [0.591, 0.086, 0.173], [0.093, 0.840, 0.260], [0.846, 0.667, 0.666], [0.767, 0.255, 0.907], [0.841, 0.478, 0.414], [0.341, 0.522, 0.586], [0.928, 0.092, 0.165], [0.917, 0.745, 0.087], [0.337, 0.895, 0.520], [0.760, 0.838, 0.257], [0.267, 0.745, 0.093], [0.178, 0.476, 0.422], [0.346, 0.333, 0.334], [0.094, 0.249, 0.910], [0.507, 0.108, 0.478], [0.174, 0.413, 0.106], [0.678, 0.524, 0.578], [0.007, 0.892, 0.522], [0.759, 0.909, 0.831], [0.342, 0.588, 0.890], [0.678, 0.335, 0.334], [0.428, 0.908, 0.835], [0.008, 0.520, 0.583], [0.768, 0.997, 0.999], [0.268, 0.003, 0.001], [0.598, 0.013, 0.996], [0.430, 0.000, 0.001], [0.930, 0.000, 0.999], [0.098, 0.987, 0.004], [0.248, 0.764, 0.360], [0.248, 0.866, 0.773], [0.920, 0.364, 0.869], [0.920, 0.869, 0.771], [0.085, 0.131, 0.235], [0.420, 0.636, 0.131], [0.254, 0.359, 0.874], [0.754, 0.641, 0.126], [0.748, 0.134, 0.227], [0.585, 0.869, 0.765], [0.083, 0.235, 0.632], [0.420, 0.131, 0.229], [0.421, 0.234, 0.647], [0.583, 0.765, 0.368], [0.748, 0.236, 0.640], [0.921, 0.766, 0.353], [0.056, 0.664, 0.669], [0.223, 0.338, 0.329], [0.392, 0.673, 0.662], [0.892, 0.327, 0.338], [0.556, 0.336, 0.331], [0.723, 0.662, 0.671]],
  "formation_energy_ev_per_fu": -57.4,
  "crystal_system": "monoclinic"
}


# 4
{
  "formula": "GdZn2Ga2",
  "functional": "PBE-GGA",
  "state": "relaxed",
  "lattice_angstrom": [[-2.484, 3.223, -1.041], [-1.522, 0.091, 3.914], [1.823, 5.061, 2.845]],
  "species": ["Zn", "Zn", "Ga", "Ga", "Gd"],
  "frac_coords": [[0.612, 0.612, 0.776], [0.388, 0.388, 0.224], [0.750, 0.250, 0.500], [0.250, 0.750, 0.500], [0.000, 0.000, 0.000]],
  "formation_energy_ev_per_fu": -2.1,
  "crystal_system": "tetragonal"
}


# 5
{
  "formula": "Y2TeO6",
  "functional": "PBE-GGA",
  "state": "relaxed",
  "lattice_angstrom": [[-7.087, -6.436, 2.554], [-5.702, -2.252, -7.784], [1.912, -4.805, -1.689]],
  "species": ["Y", "Y", "Y", "Y", "Y", "Y", "Y", "Y", "O", "O", "O", "O", "O", "O", "O", "O", "O", "O", "O", "O", "O", "O", "O", "O", "O", "O", "O", "O", "O", "O", "O", "O", "Te", "Te", "Te", "Te"],
  "frac_coords": [[0.603, 0.397, 0.750], [0.785, 0.564, 0.115], [0.436, 0.215, 0.385], [0.215, 0.436, 0.885], [0.564, 0.785, 0.615], [0.123, 0.877, 0.750], [0.397, 0.603, 0.250], [0.877, 0.123, 0.250], [0.042, 0.114, 0.508], [0.424, 0.393, 0.575], [0.184, 0.287, 0.640], [0.319, 0.881, 0.393], [0.970, 0.556, 0.741], [0.881, 0.319, 0.893], [0.958, 0.886, 0.492], [0.713, 0.816, 0.860], [0.655, 0.185, 0.072], [0.607, 0.576, 0.925], [0.114, 0.042, 0.008], [0.185, 0.655, 0.572], [0.444, 0.030, 0.759], [0.815, 0.345, 0.428], [0.119, 0.681, 0.107], [0.556, 0.970, 0.241], [0.345, 0.815, 0.928], [0.681, 0.119, 0.607], [0.886, 0.958, 0.992], [0.287, 0.184, 0.140], [0.816, 0.713, 0.360], [0.030, 0.444, 0.259], [0.393, 0.424, 0.075], [0.576, 0.607, 0.425], [0.000, 0.306, 0.563], [0.694, 0.000, 0.937], [0.000, 0.694, 0.437], [0.306, 0.000, 0.063]],
  "formation_energy_ev_per_fu": -26.4,
  "crystal_system": "monoclinic"
}


# 6
{
  "formula": "Er6IrI10",
  "functional": "PBE-GGA",
  "state": "relaxed",
  "lattice_angstrom": [[7.683, 0.000, 0.000], [-2.450, 9.312, 0.000], [-1.168, -3.328, 8.995]],
  "species": ["Er", "Er", "Er", "Er", "Er", "Er", "I", "I", "I", "I", "I", "I", "I", "I", "I", "I", "Ir"],
  "frac_coords": [[0.388, 0.961, 0.741], [0.849, 0.127, 0.666], [0.612, 0.039, 0.259], [0.151, 0.873, 0.334], [0.526, 0.716, 0.415], [0.474, 0.284, 0.585], [0.857, 0.456, 0.774], [0.047, 0.184, 0.408], [0.762, 0.089, 0.965], [0.953, 0.816, 0.592], [0.238, 0.911, 0.035], [0.715, 0.738, 0.150], [0.285, 0.262, 0.850], [0.143, 0.544, 0.226], [0.587, 0.373, 0.320], [0.413, 0.627, 0.680], [0.500, 0.000, 0.500]],
  "formation_energy_ev_per_fu": -25.1,
  "crystal_system": "triclinic"
}


# 7
{
  "formula": "NaCaB5O14",
  "functional": "PBE-GGA",
  "state": "relaxed",
  "lattice_angstrom": [[-1.664, 6.345, 1.417], [-5.794, 0.938, -11.002], [-11.169, -6.579, 5.321]],
  "species": ["B", "B", "B", "B", "B", "B", "B", "B", "B", "B", "B", "B", "B", "B", "B", "B", "B", "B", "B", "B", "O", "O", "O", "O", "O", "O", "O", "O", "O", "O", "O", "O", "O", "O", "O", "O", "O", "O", "O", "O", "O", "O", "O", "O", "O", "O", "O", "O", "O", "O", "O", "O", "O", "O", "O", "O", "O", "O", "O", "O", "O", "O", "O", "O", "O", "O", "O", "O", "O", "O", "O", "O", "O", "O", "O", "O", "Ca", "Ca", "Ca", "Ca", "Na", "Na", "Na", "Na"],
  "frac_coords": [[0.839, 0.443, 0.139], [0.737, 0.198, 0.744], [0.502, 0.864, 0.401], [0.161, 0.557, 0.861], [0.122, 0.347, 0.057], [0.737, 0.302, 0.244], [0.122, 0.153, 0.557], [0.498, 0.364, 0.099], [0.502, 0.636, 0.901], [0.323, 0.250, 0.464], [0.323, 0.250, 0.964], [0.878, 0.653, 0.943], [0.839, 0.057, 0.639], [0.878, 0.847, 0.443], [0.677, 0.750, 0.536], [0.498, 0.136, 0.599], [0.263, 0.802, 0.256], [0.263, 0.698, 0.756], [0.677, 0.750, 0.036], [0.161, 0.943, 0.361], [0.971, 0.534, 0.140], [0.504, 0.804, 0.495], [0.771, 0.482, 0.437], [0.127, 0.884, 0.269], [0.127, 0.616, 0.769], [0.231, 0.918, 0.996], [0.374, 0.597, 0.263], [0.229, 0.518, 0.563], [0.374, 0.541, 0.900], [0.927, 0.379, 0.061], [0.374, 0.903, 0.763], [0.713, 0.597, 0.898], [0.704, 0.761, 0.149], [0.073, 0.879, 0.439], [0.779, 0.267, 0.821], [0.769, 0.082, 0.004], [0.771, 0.018, 0.937], [0.626, 0.459, 0.100], [0.441, 0.792, 0.320], [0.287, 0.403, 0.102], [0.769, 0.418, 0.504], [0.296, 0.261, 0.351], [0.229, 0.982, 0.063], [0.779, 0.233, 0.321], [0.441, 0.708, 0.820], [0.704, 0.739, 0.649], [0.144, 0.242, 0.501], [0.496, 0.196, 0.505], [0.713, 0.903, 0.398], [0.626, 0.097, 0.237], [0.374, 0.959, 0.400], [0.559, 0.208, 0.680], [0.559, 0.292, 0.180], [0.221, 0.767, 0.679], [0.971, 0.966, 0.640], [0.496, 0.304, 0.005], [0.927, 0.121, 0.561], [0.347, 0.353, 0.407], [0.504, 0.696, 0.995], [0.626, 0.403, 0.737], [0.221, 0.733, 0.179], [0.231, 0.582, 0.496], [0.873, 0.384, 0.231], [0.873, 0.116, 0.731], [0.653, 0.647, 0.593], [0.856, 0.742, 0.999], [0.626, 0.041, 0.600], [0.144, 0.258, 0.001], [0.856, 0.758, 0.499], [0.073, 0.621, 0.939], [0.296, 0.239, 0.851], [0.347, 0.147, 0.907], [0.029, 0.466, 0.860], [0.287, 0.097, 0.602], [0.653, 0.853, 0.093], [0.029, 0.034, 0.360], [0.687, 0.406, 0.908], [0.313, 0.906, 0.592], [0.687, 0.094, 0.408], [0.313, 0.594, 0.092], [0.129, 0.490, 0.312], [0.129, 0.010, 0.812], [0.871, 0.510, 0.688], [0.871, 0.990, 0.188]],
  "formation_energy_ev_per_fu": -37.0,
  "crystal_system": "monoclinic"
}


# 8
{
  "formula": "Pb",
  "functional": "PBE-GGA",
  "state": "relaxed",
  "lattice_angstrom": [[0.911, -2.850, 1.753], [-3.406, 0.541, 0.362], [0.753, -0.419, -3.359]],
  "species": ["Pb"],
  "frac_coords": [[0.000, 0.000, 0.000]],
  "formation_energy_ev_per_fu": 0.0,
  "polymorph_energy_mev_per_atom": 48,
  "crystal_system": "cubic"
}


Question: Which formula does entry 5 have?
Answer: Y2TeO6


Question: Number 6 is which compound?
Answer: Er6IrI10


Question: Number 5 is which compound?
Answer: Y2TeO6